No. 1
Computed, not measured: crystalline Si2H2O3 at its relaxed geometry at the PBE level of DFT.

abc: 8.724 10.265 12.723
angles: 88.11 110.04 115.03
Fractional positions:
Si1 0.294 0.464 0.697
Si2 0.758 0.867 0.504
Si3 0.242 0.099 0.502
Si4 0.117 0.381 0.375
Si5 0.860 0.599 0.002
Si6 0.561 0.725 0.942
Si7 0.113 0.367 0.005
Si8 0.912 0.628 0.612
Si9 0.344 0.583 0.273
Si10 0.714 0.497 0.299
Si11 0.010 0.083 0.773
Si12 0.361 0.751 0.529
Si13 0.992 0.887 0.238
Si14 0.369 0.965 0.196
Si15 0.606 0.225 0.441
Si16 0.138 0.880 0.875
Si17 0.634 0.385 0.738
Si18 0.826 0.131 0.113
Si19 0.580 0.996 0.799
Si20 0.421 0.254 0.028
O1 0.567 0.076 0.328
O2 0.947 0.910 0.813
O3 0.167 0.249 0.475
O4 0.912 0.025 0.618
O5 0.986 0.047 0.164
O6 0.921 0.243 0.263
O7 0.399 0.156 0.444
O8 0.564 0.592 0.275
O9 0.700 0.654 0.943
O10 0.402 0.638 0.648
O11 0.471 0.424 0.746
O12 0.960 0.257 0.057
O13 0.851 0.755 0.556
O14 0.051 0.979 0.380
O15 0.643 0.416 0.158
O16 0.232 0.526 0.118
O17 0.056 0.750 0.975
O18 0.388 0.137 0.146
O19 0.276 0.312 0.043
O20 0.577 0.813 0.540
O21 0.274 0.409 0.312
O22 0.078 0.739 0.763
O23 0.812 0.481 0.877
O24 0.532 0.336 0.324
O25 0.203 0.930 0.246
O26 0.338 0.576 0.829
O27 0.628 0.836 0.824
O28 0.715 0.542 0.659
O29 0.429 0.914 0.659
O30 0.802 0.092 0.774
H1 0.216 0.607 0.082
H2 0.426 0.354 0.327
H3 0.650 0.602 0.652
H4 0.643 0.695 0.278
H5 0.179 0.712 0.781
H6 0.496 0.713 0.714
H7 0.976 0.105 0.582
H8 0.165 0.798 0.049
H9 0.935 0.943 0.398
H10 0.180 0.297 0.548
H11 0.426 0.211 0.211
H12 0.633 0.019 0.368
H13 0.825 0.195 0.775
H14 0.354 0.968 0.626
H15 0.813 0.216 0.282
H16 0.910 0.446 0.895
H17 0.756 0.853 0.827
H18 0.256 0.519 0.868
H19 0.105 0.113 0.161
H20 0.740 0.469 0.126

Computed properties:
* space group: No. 1
* formation energy: -1480 meV/atom
* V: 13.73 Å³/atom
* E_tot: -0.2141 Ha/atom
* total moment: 0.000 μB/atom

***

No. 2
Computed, not measured: crystalline YP5O14 at its relaxed geometry at the PBE level of DFT.

abc: 8.824 9.176 12.852
angles: 90.00 90.00 90.00
Fractional positions:
O1 0.828 0.107 0.872
O2 0.659 0.340 0.881
O3 0.510 0.347 0.365
O4 0.172 0.893 0.128
O5 0.976 0.431 0.346
O6 0.976 0.431 0.154
O7 0.837 0.657 0.528
O8 0.163 0.343 0.028
O9 0.463 0.161 0.750
O10 0.828 0.107 0.628
O11 0.841 0.840 0.381
O12 0.663 0.157 0.028
O13 0.010 0.153 0.365
O14 0.672 0.607 0.372
O15 0.341 0.660 0.119
O16 0.476 0.069 0.346
O17 0.490 0.653 0.865
O18 0.837 0.657 0.972
O19 0.115 0.681 0.496
O20 0.990 0.847 0.635
O21 0.476 0.069 0.154
O22 0.172 0.893 0.372
O23 0.730 0.058 0.250
O24 0.337 0.843 0.528
O25 0.024 0.569 0.846
O26 0.328 0.393 0.628
O27 0.663 0.157 0.472
O28 0.672 0.607 0.128
O29 0.037 0.661 0.250
O30 0.963 0.339 0.750
O31 0.490 0.653 0.635
O32 0.770 0.558 0.750
O33 0.010 0.153 0.135
O34 0.524 0.931 0.654
O35 0.990 0.847 0.865
O36 0.341 0.660 0.381
O37 0.537 0.839 0.250
O38 0.230 0.442 0.250
O39 0.841 0.840 0.119
O40 0.159 0.160 0.881
O41 0.328 0.393 0.872
O42 0.163 0.343 0.472
O43 0.659 0.340 0.619
O44 0.270 0.942 0.750
O45 0.615 0.819 0.004
O46 0.524 0.931 0.846
O47 0.385 0.181 0.996
O48 0.159 0.160 0.619
O49 0.115 0.681 0.004
O50 0.885 0.319 0.996
O51 0.024 0.569 0.654
O52 0.885 0.319 0.504
O53 0.337 0.843 0.972
O54 0.385 0.181 0.504
O55 0.615 0.819 0.496
O56 0.510 0.347 0.135
P1 0.509 0.205 0.082
P2 0.927 0.496 0.750
P3 0.009 0.295 0.082
P4 0.757 0.228 0.931
P5 0.743 0.728 0.069
P6 0.573 0.996 0.250
P7 0.491 0.795 0.918
P8 0.491 0.795 0.582
P9 0.743 0.728 0.431
P10 0.991 0.705 0.582
P11 0.257 0.272 0.931
P12 0.257 0.272 0.569
P13 0.073 0.504 0.250
P14 0.757 0.228 0.569
P15 0.243 0.772 0.069
P16 0.009 0.295 0.418
P17 0.991 0.705 0.918
P18 0.427 0.004 0.750
P19 0.243 0.772 0.431
P20 0.509 0.205 0.418
Y1 0.021 0.057 0.750
Y2 0.479 0.557 0.250
Y3 0.521 0.443 0.750
Y4 0.979 0.943 0.250

Computed properties:
* space group: No. 62
* formation energy: -2820 meV/atom
* V: 13.01 Å³/atom
* E_tot: -0.2749 Ha/atom
* total moment: 0.000 μB/atom

***

No. 3
Computed, not measured: crystalline K2LiNbO4 at its relaxed geometry at the PBE level of DFT.

abc: 8.275 5.929 12.467
angles: 75.23 90.00 90.00
Fractional positions:
O1 0.073 0.766 0.900
O2 0.803 0.243 0.412
O3 0.299 0.176 0.882
O4 0.201 0.176 0.382
O5 0.927 0.234 0.100
O6 0.197 0.757 0.588
O7 0.799 0.824 0.618
O8 0.701 0.824 0.118
O9 0.697 0.243 0.912
O10 0.573 0.234 0.600
O11 0.303 0.757 0.088
O12 0.052 0.693 0.379
O13 0.948 0.307 0.621
O14 0.448 0.693 0.879
O15 0.427 0.766 0.400
O16 0.552 0.307 0.121
Nb1 0.780 0.151 0.568
Nb2 0.280 0.849 0.932
Nb3 0.720 0.151 0.068
Nb4 0.220 0.849 0.432
K1 0.257 0.175 0.638
K2 0.509 0.629 0.659
K3 0.009 0.371 0.841
K4 0.243 0.175 0.138
K5 0.491 0.371 0.341
K6 0.757 0.825 0.862
K7 0.743 0.825 0.362
K8 0.991 0.629 0.159
Li1 0.475 0.363 0.910
Li2 0.975 0.637 0.590
Li3 0.525 0.637 0.090
Li4 0.025 0.363 0.410

Computed properties:
* space group: No. 14
* formation energy: -2546 meV/atom
* V: 18.48 Å³/atom
* E_tot: -0.2372 Ha/atom
* total moment: 0.000 μB/atom

***

No. 4
Computed, not measured: crystalline CeBPt3 at its relaxed geometry at the PBE level of DFT.

abc: 3.978 3.978 5.213
angles: 90.00 90.00 90.00
Fractional positions:
Pt1 0.000 0.500 0.515
Pt2 0.500 0.000 0.515
Pt3 0.500 0.500 0.121
Ce1 0.000 0.000 0.979
B1 0.500 0.500 0.712

Computed properties:
* space group: No. 99
* formation energy: -876 meV/atom
* V: 16.49 Å³/atom
* E_tot: -0.2588 Ha/atom